This record from the Materials Project describes an optimized crystal structure of DyGePt. The functional is PBE-GGA.

Properties
- space group = Pnma (62)
- DFT total energy (eV/atom) = -6.23
- energy relative to the elements (meV/atom) = -1131
- crystal system = orthorhombic
- V (A^3/atom) = 19.6

a b c (Å): 4.3736 7.0336 7.6515
angles (deg): 90.00 90.00 90.00
Closest atoms and distances in Å follow each position.
Atoms (fractional coordinates):
Pt1 0.7500 0.2948 0.4150  4 Ge 2.56-2.78
Pt2 0.2500 0.2052 0.9150  4 Ge 2.56-2.78
Pt3 0.2500 0.7052 0.5850  4 Ge 2.56-2.78
Pt4 0.7500 0.7948 0.0850  4 Ge 2.56-2.78
Dy1 0.2500 0.4976 0.2035  6 Pt 3.02-3.26, 6 Ge 3.02-3.23
Dy2 0.7500 0.0024 0.7035  6 Pt 3.02-3.26, 6 Ge 3.02-3.23
Dy3 0.2500 0.9976 0.2965  6 Pt 3.02-3.26, 6 Ge 3.02-3.23
Dy4 0.7500 0.5024 0.7965  6 Pt 3.02-3.26, 6 Ge 3.02-3.23
Ge1 0.7500 0.6894 0.4116  4 Pt 2.56-2.78
Ge2 0.2500 0.3106 0.5884  4 Pt 2.56-2.78
Ge3 0.7500 0.1894 0.0884  4 Pt 2.56-2.78
Ge4 0.2500 0.8106 0.9116  4 Pt 2.56-2.78